# Rb3TmS3O12

An optimized crystal structure of Rb3TmS3O12 (PBE, the Materials Project).

* size of the total moment: 0.99 μB/f.u.
* VASP energy: -5.915 eV per atom
* distance to the lowest polymorph of the same formula: 287 meV per atom
* E_form: -41.4 eV/f.u.

a = 11.1798 Å, b = 15.4968 Å, c = 9.5147 Å
α = 90.00°, β = 125.77°, γ = 90.00°
Last column: nearest neighbours and their distance in Å.
Space group Cc (No. 9)
Inequivalent atoms, fractional coordinates:
Rb (0.0000, 0.0064, 0.0000) (multiplicity 4)  5 O 2.77-3.05
Rb (0.2152, 0.3061, 0.6904) (multiplicity 4)  5 O 2.84-3.17
Rb (0.3829, 0.2635, 0.2706) (multiplicity 4)  6 O 2.79-3.02
Tm (0.4515, 0.0913, 0.6515) (multiplicity 4)  6 O 2.24-2.33
S (0.1015, 0.1927, 0.2942) (multiplicity 4)  4 O 1.47-1.53
S (0.1268, 0.4417, 0.0024) (multiplicity 4)  4 O 1.47-1.51
S (0.3852, 0.1030, 0.9493) (multiplicity 4)  3 O 1.49-1.53
O (0.0421, 0.1034, 0.7548) (multiplicity 4)  3 Rb 2.77-3.03, 4 O 2.94-3.01
O (0.0608, 0.2861, 0.2993) (multiplicity 4)  1 S 1.53
O (0.1033, 0.1811, 0.1420) (multiplicity 4)  1 S 1.47
O (0.1031, 0.4730, 0.4156) (multiplicity 4)  1 S 1.50
O (0.1851, 0.4564, 0.1886) (multiplicity 4)  1 S 1.50
O (0.2232, 0.3880, 0.9814) (multiplicity 4)  1 S 1.47
O (0.2546, 0.1799, 0.4586) (multiplicity 4)  1 S 1.51
O (0.3094, 0.0872, 0.7556) (multiplicity 4)  1 S 1.53
O (0.3360, 0.0322, 0.0181) (multiplicity 4)  1 S 1.53
O (0.3390, 0.1893, 0.9723) (multiplicity 4)  1 S 1.49
O (0.4800, 0.1017, 0.4283) (multiplicity 4)  1 S 1.51
O (0.4962, 0.3655, 0.7920) (multiplicity 4)  1 S 1.47